## CeSn3Pd2 (PBE)

Data for CeSn3Pd2 after structural relaxation.

## Properties
The calculation puts the total energy at -128.70 eV per cell. For the formation energy, the calculation gives -0.642 eV per atom.

Unit cell a=6.202 b=6.323 c=13.958 alpha=90.00 beta=90.00 gamma=90.00
Atoms (fractional coordinates):
Sn1 0.000 0.250 0.003
Pd1 0.250 0.512 0.116
Ce1 0.750 0.486 0.201
Sn2 0.500 0.750 0.997
Pd2 0.250 0.012 0.884
Sn3 0.250 0.394 0.561
Sn4 0.750 0.981 0.305
Sn5 0.000 0.750 0.997
Pd3 0.750 0.488 0.884
Sn6 0.500 0.250 0.003
Ce2 0.250 0.014 0.201
Pd4 0.750 0.988 0.116
Sn7 0.750 0.106 0.561
Sn8 0.750 0.481 0.695
Pd5 0.000 0.750 0.593
Sn9 0.250 0.019 0.695
Pd6 0.500 0.750 0.593
Sn10 0.250 0.519 0.305
Ce3 0.750 0.986 0.799
Pd7 0.000 0.250 0.407
Sn11 0.750 0.606 0.439
Pd8 0.500 0.250 0.407
Ce4 0.250 0.514 0.799
Sn12 0.250 0.894 0.439